[1]
A geometry-optimized BaVN2 structure. Source: the Materials Project database, functional PBE.

Computed properties:
- total moment (μB per atom) = 0.000
- formation energy (eV per atom) = -1.22
- total energy after the MP2020 corrections (eV/atom) = -8.137
- VASP energy (eV/atom) = -7.956

a = 6.663 Å, b = 6.663 Å, c = 7.792 Å
α = 90.00°, β = 90.00°, γ = 128.25°
Atoms (fractional coordinates):
Ba: 0.168 0.832 0.931
Ba: 0.332 0.668 0.431
Ba: 0.668 0.332 0.569
Ba: 0.832 0.168 0.069
V: 0.056 0.944 0.358
V: 0.444 0.556 0.858
V: 0.556 0.444 0.142
V: 0.944 0.056 0.642
N: 0.102 0.898 0.588
N: 0.133 0.367 0.750
N: 0.367 0.133 0.250
N: 0.398 0.602 0.088
N: 0.602 0.398 0.912
N: 0.633 0.867 0.750
N: 0.867 0.633 0.250
N: 0.898 0.102 0.412

[2]
A geometry-optimized NaAs4IO6 structure. Source: the Materials Project database, functional PBE.

Computed properties:
- total moment (μB per atom) = 0.000
- formation energy (eV per atom) = -1.56
- total energy after the MP2020 corrections (eV/atom) = -5.829
- VASP energy (eV/atom) = -5.486

a = 5.358 Å, b = 5.358 Å, c = 9.199 Å
α = 90.00°, β = 90.00°, γ = 120.00°
Atoms (fractional coordinates):
Na: 0.000 0.000 0.000
As: 0.333 0.667 0.285
As: 0.333 0.667 0.715
As: 0.667 0.333 0.285
As: 0.667 0.333 0.715
I: 0.000 0.000 0.500
O: 0.000 0.500 0.176
O: 0.000 0.500 0.824
O: 0.500 0.000 0.176
O: 0.500 0.000 0.824
O: 0.500 0.500 0.176
O: 0.500 0.500 0.824

[3]
A geometry-optimized CsMg14Cd structure. Source: the Materials Project database, functional PBE.

Computed properties:
- total moment (μB per atom) = 0.000
- formation energy (eV per atom) = 0.16
- VASP energy (eV/atom) = -1.358

a = 10.842 Å, b = 6.625 Å, c = 6.625 Å
α = 59.27°, β = 90.00°, γ = 90.00°
Atoms (fractional coordinates):
Cs: 0.000 0.000 0.000
Mg: 0.000 0.010 0.494
Mg: 0.000 0.494 0.010
Mg: 0.247 0.666 0.666
Mg: 0.270 0.173 0.173
Mg: 0.271 0.172 0.654
Mg: 0.271 0.654 0.172
Mg: 0.500 0.000 0.000
Mg: 0.500 0.503 0.503
Mg: 0.500 0.503 0.995
Mg: 0.500 0.995 0.503
Mg: 0.729 0.172 0.654
Mg: 0.729 0.654 0.172
Mg: 0.730 0.173 0.173
Mg: 0.753 0.666 0.666
Cd: 0.000 0.496 0.496